No. 1
# Eu3Mg

A geometry-optimized Eu3Mg structure (PBE, Materials Project).

Calculated values
The formation energy comes out at -3 kJ/mol of atoms. As for the space group: Imm2. As for the volume: 37.0 Å³ per atom.

abc: 7.021 7.021 7.021
angles: 145.55 62.04 130.11
Element x y z (fractional)
Eu  0.000  0.000  0.000
Eu  0.285  0.513  0.772
Eu  0.741  0.513  0.228
Mg  0.496  0.996  0.500

=====

No. 2
# Eu3Mg

A geometry-optimized Eu3Mg structure (PBE, Materials Project).

Calculated values
The magnetic moment is 22.14 μB/f.u. The formation energy comes out at 1 kJ/mol of atoms. As for the space group: Pmm2. As for the volume: 37.2 Å³ per atom.

abc: 3.970 6.045 6.209
angles: 90.00 90.00 90.00
Element x y z (fractional)
Eu  0.000  0.000  0.000
Eu  0.000  0.500  0.374
Eu  0.500  0.000  0.512
Mg  0.500  0.500  0.876

=====

Theoretical density, record by record: 5.381 5.352 g/cm³